A geometry-optimized Ag3SI structure. Source: the Materials Project database, functional GGA-PBE.

abc: 4.913 7.169 7.023
angles: 90.00 90.66 90.00
Space group P2_1 (No. 4)
Inequivalent atoms, fractional coordinates:
Ag: 0.006 0.000 0.176 x2
Ag: 0.381 0.160 0.509 x2
Ag: 0.483 0.614 0.066 x2
S: 0.491 0.424 0.754 x2
I: 0.009 0.418 0.270 x2

For the final energy, the calculation gives -2.913 eV/atom. The value obtained for the mass density is 6.48 g/cm³. The largest piezoelectric modulus comes out at 0.7 C/m2. For the formation energy, the calculation gives -0.26 eV per atom.

***

A geometry-optimized Ag7S2I2 structure. Source: the Materials Project database, functional GGA-PBE.

abc: 4.248 4.365 17.968
angles: 93.36 91.62 112.81
Space group P1 (No. 1)
Inequivalent atoms, fractional coordinates:
Ag: 0.000 0.000 0.000 x1
Ag: 0.029 0.166 0.219 x1
Ag: 0.368 0.534 0.905 x1
Ag: 0.454 0.944 0.541 x1
Ag: 0.690 0.418 0.091 x1
Ag: 0.797 0.584 0.461 x1
Ag: 0.928 0.171 0.770 x1
S: 0.238 0.890 0.115 x1
S: 0.718 0.142 0.893 x1
I: 0.104 0.300 0.629 x1
I: 0.724 0.529 0.305 x1

For the final energy, the calculation gives -2.792 eV/atom. The value obtained for the mass density is 5.82 g/cm³. For the formation energy, the calculation gives -0.12 eV per atom.

***

A geometry-optimized Ag4SI structure. Source: the Materials Project database, functional GGA-PBE.

abc: 8.049 5.801 6.693
angles: 90.00 90.26 90.00
Space group C2/m (No. 12)
Inequivalent atoms, fractional coordinates:
Ag: 0.140 0.000 0.368 x4
Ag: 0.250 0.250 0.000 x4
S: 0.000 0.000 0.000 x2
I: 0.000 0.500 0.500 x2

For the final energy, the calculation gives -2.692 eV/atom. The value obtained for the mass density is 6.27 g/cm³. For the formation energy, the calculation gives -0.01 eV per atom.

***

A geometry-optimized Ag7S2I2 structure. Source: the Materials Project database, functional GGA-PBE.

abc: 4.537 4.705 14.945
angles: 93.58 94.00 114.99
Space group P1 (No. 1)
Inequivalent atoms, fractional coordinates:
Ag: 0.000 0.000 0.000 x1
Ag: 0.033 0.525 0.320 x1
Ag: 0.234 0.270 0.597 x1
Ag: 0.557 0.963 0.459 x1
Ag: 0.684 0.377 0.084 x1
Ag: 0.767 0.719 0.731 x1
Ag: 0.897 0.616 0.528 x1
S: 0.281 0.809 0.668 x1
S: 0.522 0.428 0.387 x1
I: 0.363 0.769 0.162 x1
I: 0.522 0.434 0.893 x1

For the final energy, the calculation gives -2.809 eV/atom. The value obtained for the mass density is 6.21 g/cm³. For the formation energy, the calculation gives -0.14 eV per atom.

***

A geometry-optimized Ag3SI structure. Source: the Materials Project database, functional GGA-PBE.

abc: 4.320 4.732 13.279
angles: 89.66 87.08 89.89
Space group P1 (No. 1)
Inequivalent atoms, fractional coordinates:
Ag: 0.000 0.000 0.000 x1
Ag: 0.027 0.220 0.787 x1
Ag: 0.547 0.680 0.823 x1
Ag: 0.606 0.510 0.055 x1
Ag: 0.700 0.647 0.321 x1
Ag: 0.874 0.152 0.214 x1
S: 0.057 0.666 0.152 x1
S: 0.502 0.190 0.911 x1
I: 0.064 0.721 0.665 x1
I: 0.483 0.150 0.412 x1

For the final energy, the calculation gives -2.915 eV/atom. The value obtained for the mass density is 5.91 g/cm³. For the formation energy, the calculation gives -0.26 eV per atom.

***

A geometry-optimized Ag3SI structure. Source: the Materials Project database, functional GGA-PBE.

abc: 7.1316 7.1316 8.5049
angles: 90.00 90.00 120.00
Space group R32 (No. 155, hexagonal axes)
Inequivalent atoms, fractional coordinates:
Ag: 0.0000 0.4220 0.0000 x9
S: 0.0000 0.0000 0.5000 x3
I: 0.0000 0.0000 0.0000 x3

For the final energy, the calculation gives -2.911 eV/atom. The value obtained for the mass density is 6.42 g/cm³. The largest piezoelectric modulus comes out at 0.5 C/m2. For the formation energy, the calculation gives -0.26 eV per atom.